## Co5Te4Cl2O12 (PBE+U)

Data for a relaxed Co5Te4Cl2O12 crystal. Values from VASP.

Results
Calculated volume ... 364.8 Å³/f.u.
Total energy after the MP2020 corrections ... -284.573 eV for the cell shown
Formation energy from the elements ... -1.352 eV per atom

The structure in Quantum ESPRESSO input format:
```
&SYSTEM
  ibrav = 0, nat = 46, ntyp = 4
/
ATOMIC_SPECIES
Co 58.93 Co.upf
Te 127.60 Te.upf
Cl 35.45 Cl.upf
O 16.00 O.upf
ATOMIC_POSITIONS angstrom
Co 3.2765 1.5108 7.1166
Co 6.2999 1.4997 5.1796
Co 9.1363 1.4997 1.6051
Co 2.9732 1.4183 10.1771
Co 2.6699 1.5108 13.2376
Co 8.0215 -1.5108 0.3318
Co 7.7181 -1.4183 3.3924
Co 1.5550 -1.4997 11.9644
Co 4.3914 -1.4997 8.3898
Co 7.4148 -1.5108 6.4529
Te 5.9857 1.1062 1.6579
Te -0.6159 0.9779 11.6743
Te 9.4506 1.1062 5.1268
Te 6.5623 0.9779 8.6799
Te 4.1290 -0.9779 4.8895
Te 1.2407 -1.1062 8.4426
Te 11.3073 -0.9779 1.8952
Te 4.7057 -1.1062 11.9116
Cl 1.4886 0.8864 5.5201
Cl -3.2563 -0.8864 12.3048
Cl 13.9476 0.8864 1.2646
Cl 9.2027 -0.8864 8.0494
O -1.1651 1.8938 13.2694
O -6.5493 0.0606 11.6186
O -1.8044 -0.0606 4.8338
O 1.1265 1.8023 11.6370
O 4.8199 1.8023 8.7172
O 5.3895 0.8489 3.4067
O 7.1115 1.8938 7.0848
O 4.5794 0.6105 5.8444
O 2.8044 0.0464 8.5862
O 7.5494 -0.0464 1.8015
O 10.8568 0.6105 0.9403
O 10.0468 0.8489 3.3781
O 0.6445 -0.8489 10.1914
O -0.1655 -0.6105 12.6292
O 3.1420 0.0464 11.7680
O 7.8869 -0.0464 4.9832
O 6.1119 -0.6105 7.7250
O 3.5798 -1.8938 6.4846
O 5.3019 -0.8489 10.1628
O 5.8714 -1.8023 4.8523
O 9.5649 -1.8023 1.9324
O 12.4957 0.0606 8.7356
O 17.2406 -0.0606 1.9509
O 11.8565 -1.8938 0.3001
CELL_PARAMETERS angstrom
10.0906 -2.6644 0.0000
10.0906 2.6644 0.0000
-9.4899 0.0000 13.5695
```